(1)
Li2S | meta-GGA r2SCAN | relaxed

- Total moment: 0.0 μB per formula unit
- Volume: 45.58 Å³ per cell
- Symmetry: Fm-3m, No. 225
- Theoretical density: 1.67 g cm⁻³

Lattice parameters (Å, degrees): 4.0095 4.0095 4.0095 60.00 60.00 60.00
Positions (direct):
1 Li 0.2500 0.2500 0.2500
2 Li 0.7500 0.7500 0.7500
3 S 0.0000 0.0000 0.0000

***

(2)
Li2S | meta-GGA r2SCAN | relaxed

- Total moment: 0.0 μB per formula unit
- Volume: 170.89 Å³ per cell
- Symmetry: Pnma, No. 62
- Theoretical density: 1.79 g cm⁻³

Lattice parameters (Å, degrees): 3.7911 6.2662 7.1937 90.00 90.00 90.00
Positions (direct):
1 Li 0.2500 0.8581 0.9285
2 Li 0.7500 0.1419 0.0715
3 Li 0.2500 0.3581 0.5715
4 Li 0.7500 0.6419 0.4285
5 Li 0.7500 0.0210 0.6664
6 Li 0.2500 0.9790 0.3336
7 Li 0.7500 0.5210 0.8336
8 Li 0.2500 0.4790 0.1664
9 S 0.2500 0.2445 0.8904
10 S 0.7500 0.7555 0.1096
11 S 0.2500 0.7445 0.6096
12 S 0.7500 0.2555 0.3904

***

Taking the most stable structure as the zero point, the relative energies in meV/atom are (1) 0; (2) 62.